# 1
A plane-wave DFT calculation with PBE-GGA was carried out for a relaxed structure of UPdSe3.

Values from the calculation:
SG	Pnma, No. 62
formation energy from the elements	-1.100	eV per atom
total energy	-31.0	eV per formula unit

The structure in CIF format:
```
data_UPdSe3
_chemical_formula_sum 'U4 Pd4 Se12'
_cell_length_a 6.435
_cell_length_b 7.779
_cell_length_c 8.821
_cell_angle_alpha 90.00
_cell_angle_beta 90.00
_cell_angle_gamma 90.00
_symmetry_space_group_name_H-M 'P 1'
_symmetry_Int_Tables_number 1
loop_
_symmetry_equiv_pos_as_xyz
'x,y,z'
loop_
_atom_site_label
_atom_site_fract_x
_atom_site_fract_y
_atom_site_fract_z
U1 0.935 0.361 0.250
U2 0.435 0.139 0.750
U3 0.565 0.861 0.250
U4 0.065 0.639 0.750
Pd1 0.000 0.000 0.000
Pd2 0.000 0.000 0.500
Pd3 0.500 0.500 0.500
Pd4 0.500 0.500 0.000
Se1 0.337 0.839 0.942
Se2 0.163 0.339 0.942
Se3 0.663 0.161 0.058
Se4 0.337 0.839 0.558
Se5 0.182 0.065 0.250
Se6 0.682 0.435 0.750
Se7 0.318 0.565 0.250
Se8 0.818 0.935 0.750
Se9 0.163 0.339 0.558
Se10 0.663 0.161 0.442
Se11 0.837 0.661 0.058
Se12 0.837 0.661 0.442
```


# 2
A plane-wave DFT calculation with PBE-GGA was carried out for a relaxed structure of SiPd4.

Values from the calculation:
SG	R-3m, No. 166
formation energy from the elements	-0.263	eV per atom
total energy	-27.5	eV per formula unit

The structure in CIF format:
```
data_SiPd4
_chemical_formula_sum 'Si1 Pd4'
_cell_length_a 10.655
_cell_length_b 10.655
_cell_length_c 10.655
_cell_angle_alpha 15.51
_cell_angle_beta 15.51
_cell_angle_gamma 15.51
_symmetry_space_group_name_H-M 'P 1'
_symmetry_Int_Tables_number 1
loop_
_symmetry_equiv_pos_as_xyz
'x,y,z'
loop_
_atom_site_label
_atom_site_fract_x
_atom_site_fract_y
_atom_site_fract_z
Si1 0.000 0.000 0.000
Pd1 0.609 0.609 0.609
Pd2 0.202 0.202 0.202
Pd3 0.798 0.798 0.798
Pd4 0.391 0.391 0.391
```


# 3
A plane-wave DFT calculation with PBE-GGA was carried out for a relaxed structure of Sm3Si2Pd2.

Values from the calculation:
SG	Pbcm, No. 57
formation energy from the elements	-0.845	eV per atom
total energy	-41.3	eV per formula unit

The structure in CIF format:
```
data_Sm3Si2Pd2
_chemical_formula_sum 'Sm12 Si8 Pd8'
_cell_length_a 5.713
_cell_length_b 8.078
_cell_length_c 13.143
_cell_angle_alpha 90.00
_cell_angle_beta 90.00
_cell_angle_gamma 90.00
_symmetry_space_group_name_H-M 'P 1'
_symmetry_Int_Tables_number 1
loop_
_symmetry_equiv_pos_as_xyz
'x,y,z'
loop_
_atom_site_label
_atom_site_fract_x
_atom_site_fract_y
_atom_site_fract_z
Sm1 0.643 0.251 0.250
Sm2 0.357 0.749 0.750
Sm3 0.357 0.751 0.250
Sm4 0.643 0.249 0.750
Sm5 0.130 0.391 0.104
Sm6 0.870 0.609 0.896
Sm7 0.870 0.609 0.604
Sm8 0.870 0.891 0.396
Sm9 0.130 0.391 0.396
Sm10 0.130 0.109 0.604
Sm11 0.130 0.109 0.896
Sm12 0.870 0.891 0.104
Si1 0.148 0.103 0.250
Si2 0.852 0.897 0.750
Si3 0.852 0.603 0.250
Si4 0.148 0.397 0.750
Si5 0.669 0.250 0.000
Si6 0.331 0.750 0.000
Si7 0.331 0.750 0.500
Si8 0.669 0.250 0.500
Pd1 0.383 0.040 0.092
Pd2 0.617 0.960 0.908
Pd3 0.617 0.960 0.592
Pd4 0.617 0.540 0.408
Pd5 0.383 0.040 0.408
Pd6 0.383 0.460 0.592
Pd7 0.383 0.460 0.908
Pd8 0.617 0.540 0.092
```


# 4
A plane-wave DFT calculation with PBE-GGA was carried out for a relaxed structure of SmSi2Pd2.

Values from the calculation:
SG	I4/mmm, No. 139
formation energy from the elements	-0.952	eV per atom
total energy	-30.7	eV per formula unit

The structure in CIF format:
```
data_SmSi2Pd2
_chemical_formula_sum 'Sm1 Si2 Pd2'
_cell_length_a 5.813
_cell_length_b 5.813
_cell_length_c 5.813
_cell_angle_alpha 137.56
_cell_angle_beta 137.56
_cell_angle_gamma 61.58
_symmetry_space_group_name_H-M 'P 1'
_symmetry_Int_Tables_number 1
loop_
_symmetry_equiv_pos_as_xyz
'x,y,z'
loop_
_atom_site_label
_atom_site_fract_x
_atom_site_fract_y
_atom_site_fract_z
Sm1 0.000 0.000 0.000
Si1 0.618 0.618 0.000
Si2 0.382 0.382 0.000
Pd1 0.250 0.750 0.500
Pd2 0.750 0.250 0.500
```


# 5
A plane-wave DFT calculation with PBE-GGA was carried out for a relaxed structure of Sm3Si6Pd20.

Values from the calculation:
SG	Fm-3m, No. 225
formation energy from the elements	-0.817	eV per atom
total energy	-174.0	eV per formula unit

The structure in CIF format:
```
data_Sm3Si6Pd20
_chemical_formula_sum 'Sm3 Si6 Pd20'
_cell_length_a 8.757
_cell_length_b 8.757
_cell_length_c 8.757
_cell_angle_alpha 60.00
_cell_angle_beta 60.00
_cell_angle_gamma 60.00
_symmetry_space_group_name_H-M 'P 1'
_symmetry_Int_Tables_number 1
loop_
_symmetry_equiv_pos_as_xyz
'x,y,z'
loop_
_atom_site_label
_atom_site_fract_x
_atom_site_fract_y
_atom_site_fract_z
Sm1 0.250 0.250 0.250
Sm2 0.750 0.750 0.750
Sm3 0.000 0.000 0.000
Si1 0.733 0.267 0.267
Si2 0.267 0.733 0.733
Si3 0.267 0.733 0.267
Si4 0.733 0.267 0.733
Si5 0.267 0.267 0.733
Si6 0.733 0.733 0.267
Pd1 0.385 0.385 0.385
Pd2 0.615 0.615 0.615
Pd3 0.385 0.385 0.846
Pd4 0.385 0.846 0.385
Pd5 0.615 0.615 0.154
Pd6 0.615 0.154 0.615
Pd7 0.846 0.385 0.385
Pd8 0.154 0.615 0.615
Pd9 0.346 0.000 0.000
Pd10 0.654 0.000 0.000
Pd11 0.000 0.346 0.654
Pd12 0.000 0.654 0.346
Pd13 0.000 0.346 0.000
Pd14 0.654 0.000 0.346
Pd15 0.000 0.654 0.000
Pd16 0.346 0.000 0.654
Pd17 0.000 0.000 0.346
Pd18 0.000 0.000 0.654
Pd19 0.654 0.346 0.000
Pd20 0.346 0.654 0.000
```


# 6
A plane-wave DFT calculation with PBE-GGA was carried out for a relaxed structure of SmSiPd2.

Values from the calculation:
SG	Pnma, No. 62
formation energy from the elements	-0.944	eV per atom
total energy	-24.3	eV per formula unit

The structure in CIF format:
```
data_SmSiPd2
_chemical_formula_sum 'Sm4 Si4 Pd8'
_cell_length_a 5.645
_cell_length_b 6.968
_cell_length_c 7.516
_cell_angle_alpha 90.00
_cell_angle_beta 90.00
_cell_angle_gamma 90.00
_symmetry_space_group_name_H-M 'P 1'
_symmetry_Int_Tables_number 1
loop_
_symmetry_equiv_pos_as_xyz
'x,y,z'
loop_
_atom_site_label
_atom_site_fract_x
_atom_site_fract_y
_atom_site_fract_z
Sm1 0.355 0.750 0.031
Sm2 0.145 0.750 0.531
Sm3 0.645 0.250 0.969
Sm4 0.855 0.250 0.469
Si1 0.647 0.750 0.377
Si2 0.853 0.750 0.877
Si3 0.353 0.250 0.623
Si4 0.147 0.250 0.123
Pd1 0.907 0.552 0.176
Pd2 0.593 0.948 0.676
Pd3 0.093 0.052 0.824
Pd4 0.407 0.448 0.324
Pd5 0.093 0.448 0.824
Pd6 0.407 0.052 0.324
Pd7 0.907 0.948 0.176
Pd8 0.593 0.552 0.676
```


# 7
A plane-wave DFT calculation with PBE-GGA was carried out for a relaxed structure of SrSiPd.

Values from the calculation:
SG	P2_13, No. 198
formation energy from the elements	-0.757	eV per atom
total energy	-14.6	eV per formula unit

The structure in CIF format:
```
data_SrSiPd
_chemical_formula_sum 'Sr4 Si4 Pd4'
_cell_length_a 6.570
_cell_length_b 6.570
_cell_length_c 6.570
_cell_angle_alpha 90.00
_cell_angle_beta 90.00
_cell_angle_gamma 90.00
_symmetry_space_group_name_H-M 'P 1'
_symmetry_Int_Tables_number 1
loop_
_symmetry_equiv_pos_as_xyz
'x,y,z'
loop_
_atom_site_label
_atom_site_fract_x
_atom_site_fract_y
_atom_site_fract_z
Sr1 0.629 0.371 0.871
Sr2 0.371 0.871 0.629
Sr3 0.129 0.129 0.129
Sr4 0.871 0.629 0.371
Si1 0.163 0.337 0.663
Si2 0.663 0.163 0.337
Si3 0.337 0.663 0.163
Si4 0.837 0.837 0.837
Pd1 0.590 0.910 0.090
Pd2 0.090 0.590 0.910
Pd3 0.410 0.410 0.410
Pd4 0.910 0.090 0.590
```


# 8
A plane-wave DFT calculation with PBE-GGA was carried out for a relaxed structure of TbSiPd.

Values from the calculation:
SG	Pnma, No. 62
formation energy from the elements	-0.998	eV per atom
total energy	-18.2	eV per formula unit

The structure in CIF format:
```
data_TbSiPd
_chemical_formula_sum 'Tb12 Si12 Pd12'
_cell_length_a 4.376
_cell_length_b 7.440
_cell_length_c 21.102
_cell_angle_alpha 90.00
_cell_angle_beta 90.00
_cell_angle_gamma 90.00
_symmetry_space_group_name_H-M 'P 1'
_symmetry_Int_Tables_number 1
loop_
_symmetry_equiv_pos_as_xyz
'x,y,z'
loop_
_atom_site_label
_atom_site_fract_x
_atom_site_fract_y
_atom_site_fract_z
Tb1 0.250 0.707 0.333
Tb2 0.750 0.293 0.667
Tb3 0.750 0.207 0.167
Tb4 0.250 0.793 0.833
Tb5 0.250 0.792 0.166
Tb6 0.750 0.208 0.834
Tb7 0.750 0.292 0.334
Tb8 0.250 0.708 0.666
Tb9 0.250 0.712 0.001
Tb10 0.750 0.288 0.999
Tb11 0.750 0.212 0.499
Tb12 0.250 0.788 0.501
Si1 0.250 0.088 0.071
Si2 0.750 0.912 0.929
Si3 0.750 0.588 0.429
Si4 0.250 0.412 0.571
Si5 0.250 0.084 0.272
Si6 0.750 0.916 0.728
Si7 0.750 0.584 0.228
Si8 0.250 0.416 0.772
Si9 0.250 0.086 0.395
Si10 0.750 0.914 0.605
Si11 0.750 0.586 0.105
Si12 0.250 0.414 0.895
Pd1 0.250 0.416 0.237
Pd2 0.750 0.584 0.763
Pd3 0.750 0.916 0.263
Pd4 0.250 0.084 0.737
Pd5 0.250 0.417 0.437
Pd6 0.750 0.583 0.563
Pd7 0.750 0.917 0.063
Pd8 0.250 0.083 0.937
Pd9 0.250 0.420 0.093
Pd10 0.750 0.580 0.907
Pd11 0.750 0.920 0.407
Pd12 0.250 0.080 0.593
```